# 1
An optimized crystal structure of PmPrIr2, computed with PBE.

Properties
VASP energy: -7.36 eV/atom
Energy relative to the elements: -0.56 eV/atom

abc: 5.024 5.024 5.024
angles: 60.00 60.00 60.00
Positions (direct):
Pm 0.500 0.500 0.500
Pr 0.000 0.000 0.000
Ir 0.250 0.250 0.250
Ir 0.750 0.750 0.750



# 2
An optimized crystal structure of Pm2IrPt, computed with PBE.

Properties
VASP energy: -6.96 eV/atom
Energy relative to the elements: -0.86 eV/atom

abc: 5.030 5.030 5.030
angles: 60.00 60.00 60.00
Positions (direct):
Pm 0.250 0.250 0.250
Pm 0.750 0.750 0.750
Ir 0.500 0.500 0.500
Pt 0.000 0.000 0.000



# 3
An optimized crystal structure of Pm2IrRh, computed with PBE.

Properties
VASP energy: -7.10 eV/atom
Energy relative to the elements: -0.67 eV/atom

abc: 4.985 4.985 4.985
angles: 60.00 60.00 60.00
Positions (direct):
Ir 0.500 0.500 0.500
Pm 0.750 0.750 0.750
Pm 0.250 0.250 0.250
Rh 0.000 0.000 0.000



# 4
An optimized crystal structure of Pm2IrRu, computed with PBE.

Properties
VASP energy: -7.29 eV/atom
Energy relative to the elements: -0.38 eV/atom

abc: 4.964 4.964 4.964
angles: 60.00 60.00 60.00
Positions (direct):
Ru 0.000 0.000 0.000
Pm 0.250 0.250 0.250
Pm 0.750 0.750 0.750
Ir 0.500 0.500 0.500



# 5
An optimized crystal structure of PmYIr2, computed with PBE.

Properties
VASP energy: -7.92 eV/atom
Energy relative to the elements: -0.70 eV/atom

abc: 4.926 4.926 4.926
angles: 60.00 60.00 60.00
Positions (direct):
Pm 0.500 0.500 0.500
Ir 0.750 0.750 0.750
Ir 0.250 0.250 0.250
Y 0.000 0.000 0.000



# 6
An optimized crystal structure of Pr5Ir2, computed with PBE.

Properties
VASP energy: -6.42 eV/atom
Energy relative to the elements: -0.48 eV/atom

abc: 9.072 9.072 7.376
angles: 83.57 83.57 43.75
Positions (direct):
Ir 0.179 0.598 0.574
Ir 0.821 0.402 0.426
Ir 0.598 0.179 0.074
Ir 0.402 0.821 0.926
Pr 0.797 0.018 0.420
Pr 0.568 0.432 0.750
Pr 0.432 0.568 0.250
Pr 0.203 0.982 0.580
Pr 0.018 0.797 0.920
Pr 0.650 0.785 0.184
Pr 0.982 0.203 0.080
Pr 0.785 0.650 0.684
Pr 0.350 0.215 0.816
Pr 0.215 0.350 0.316



# 7
An optimized crystal structure of PrIr3, computed with PBE.

Properties
Total magnetic moment: 0.00 μB per formula unit
VASP energy: -7.93 eV/atom
Energy relative to the elements: -0.11 eV/atom

abc: 6.045 6.045 4.670
angles: 90.00 90.00 120.00
Positions (direct):
Ir 0.149 0.851 0.250
Ir 0.851 0.149 0.750
Ir 0.702 0.851 0.250
Ir 0.149 0.298 0.250
Ir 0.851 0.702 0.750
Ir 0.298 0.149 0.750
Pr 0.667 0.333 0.250
Pr 0.333 0.667 0.750



# 8
An optimized crystal structure of PrIr2, computed with PBE.

Properties
VASP energy: -8.17 eV/atom
Energy relative to the elements: -0.68 eV/atom

abc: 5.464 5.464 5.464
angles: 60.00 60.00 60.00
Positions (direct):
Ir 0.125 0.125 0.625
Ir 0.125 0.625 0.125
Ir 0.625 0.125 0.125
Ir 0.125 0.125 0.125
Pr 0.750 0.750 0.750
Pr 0.500 0.500 0.500